[1]
Below is a geometry-optimized Pr2Ga12Ni structure, with properties calculated at the GGA-PBE level.

a = 6.048 Å, b = 6.048 Å, c = 15.682 Å
α = 90.00°, β = 90.00°, γ = 90.00°
Atoms (fractional coordinates):
1 Pr 0.250 0.750 0.247
2 Pr 0.250 0.750 0.753
3 Pr 0.750 0.250 0.247
4 Pr 0.750 0.250 0.753
5 Ga 0.001 0.501 0.083
6 Ga 0.001 0.999 0.917
7 Ga 0.073 0.573 0.572
8 Ga 0.073 0.927 0.428
9 Ga 0.250 0.250 0.183
10 Ga 0.250 0.250 0.340
11 Ga 0.250 0.250 0.660
12 Ga 0.250 0.250 0.817
13 Ga 0.427 0.573 0.428
14 Ga 0.427 0.927 0.572
15 Ga 0.499 0.501 0.917
16 Ga 0.499 0.999 0.083
17 Ga 0.501 0.001 0.917
18 Ga 0.501 0.499 0.083
19 Ga 0.573 0.073 0.428
20 Ga 0.573 0.427 0.572
21 Ga 0.750 0.750 0.183
22 Ga 0.750 0.750 0.340
23 Ga 0.750 0.750 0.660
24 Ga 0.750 0.750 0.817
25 Ga 0.927 0.073 0.572
26 Ga 0.927 0.427 0.428
27 Ga 0.999 0.001 0.083
28 Ga 0.999 0.499 0.917
29 Ni 0.250 0.750 0.000
30 Ni 0.750 0.250 0.000

* uncorrected energy: -115.3 eV for the cell shown
* DFT formation energy: -0.397 eV/atom

=====

[2]
Below is a geometry-optimized Pr2Ga7Ni structure, with properties calculated at the GGA-PBE level.

a = 4.299 Å, b = 4.299 Å, c = 10.426 Å
α = 90.00°, β = 90.00°, γ = 90.00°
Atoms (fractional coordinates):
1 Pr 0.000 0.000 0.000
2 Pr 0.500 0.500 0.487
3 Ga 0.000 0.000 0.382
4 Ga 0.000 0.000 0.620
5 Ga 0.000 0.500 0.234
6 Ga 0.000 0.500 0.758
7 Ga 0.500 0.000 0.234
8 Ga 0.500 0.000 0.758
9 Ga 0.500 0.500 0.913
10 Ni 0.500 0.500 0.135

* uncorrected energy: -42.0 eV for the cell shown
* DFT formation energy: -0.547 eV/atom

=====

[3]
Below is a geometry-optimized PuGaNi structure, with properties calculated at the GGA-PBE level.

a = 6.842 Å, b = 6.842 Å, c = 3.936 Å
α = 90.00°, β = 90.00°, γ = 120.00°
Atoms (fractional coordinates):
1 Pu 0.000 0.418 0.000
2 Pu 0.418 0.000 0.000
3 Pu 0.582 0.582 0.000
4 Ga 0.000 0.760 0.500
5 Ga 0.240 0.240 0.500
6 Ga 0.760 0.000 0.500
7 Ni 0.000 0.000 0.000
8 Ni 0.333 0.667 0.500
9 Ni 0.667 0.333 0.500

* uncorrected energy: -72.9 eV for the cell shown
* DFT formation energy: -0.408 eV/atom

=====

[4]
Below is a geometry-optimized ScGaNi structure, with properties calculated at the GGA-PBE level.

a = 5.109 Å, b = 5.109 Å, c = 6.322 Å
α = 124.34°, β = 124.34°, γ = 47.66°
Atoms (fractional coordinates):
1 Sc 0.053 0.053 0.307
2 Sc 0.947 0.947 0.693
3 Ga 0.326 0.326 0.893
4 Ga 0.674 0.674 0.107
5 Ni 0.341 0.341 0.306
6 Ni 0.659 0.659 0.694

* uncorrected energy: -33.9 eV for the cell shown
* DFT formation energy: -0.608 eV/atom